Computed, not measured: a relaxed SrAu5 crystal at the PBE-GGA level of DFT.

Cell: 5.7253 5.7253 4.6751 Å, 90.00 90.00 120.00°
Atoms (fractional coordinates):
1 Sr 0.0000 0.0000 0.0000
2 Au 0.0000 0.5000 0.5000
3 Au 0.3333 0.6667 0.0000
4 Au 0.5000 0.0000 0.5000
5 Au 0.5000 0.5000 0.5000
6 Au 0.6667 0.3333 0.0000

symmetry = P6/mmm, No. 191

---

Computed, not measured: a relaxed CdIn4TeAs4 crystal at the PBE-GGA level of DFT.

Cell: 14.7522 14.7522 14.7522 Å, 163.85 163.85 22.92°
Atoms (fractional coordinates):
1 Cd 0.0000 0.0000 0.0000
2 In 0.1990 0.1990 0.0000
3 In 0.3937 0.3937 0.0000
4 In 0.6063 0.6063 0.0000
5 In 0.8010 0.8010 0.0000
6 Te 0.5000 0.5000 0.0000
7 As 0.1019 0.1019 0.0000
8 As 0.2967 0.2967 0.0000
9 As 0.7033 0.7033 0.0000
10 As 0.8981 0.8981 0.0000

magnetic moment = 0.0 μB per cell
symmetry = I4/mmm, No. 139

---

Computed, not measured: a relaxed AlPO4 crystal at the PBE-GGA level of DFT.

Cell: 5.1772 5.1772 5.1772 Å, 121.20 121.20 87.94°
Atoms (fractional coordinates):
1 Al 0.0000 0.0000 0.0000
2 P 0.7500 0.2500 0.5000
3 O 0.4016 0.0401 0.1768
4 O 0.7752 0.5984 0.6385
5 O 0.8633 0.2248 0.8232
6 O 0.9599 0.1367 0.3615

piezoelectric modulus e_max = 0.42 C/m2
symmetry = I-4, No. 82
corrected total energy (MP2020 scheme) = -47.7 eV per cell

---

Computed, not measured: a relaxed Te4Mo3WSe4 crystal at the PBE-GGA level of DFT.

Cell: 3.4364 3.4364 39.1184 Å, 90.00 90.00 120.00°
Atoms (fractional coordinates):
1 Te 0.0000 0.0000 0.0000
2 Te 0.0000 0.0000 0.0949
3 Te 0.3333 0.6667 0.1879
4 Te 0.3333 0.6667 0.2828
5 Mo 0.0000 0.0000 0.2354
6 Mo 0.0000 0.0000 0.8596
7 Mo 0.3333 0.6667 0.0474
8 W 0.3333 0.6667 0.4232
9 Se 0.0000 0.0000 0.3813
10 Se 0.0000 0.0000 0.4652
11 Se 0.3333 0.6667 0.8178
12 Se 0.3333 0.6667 0.9014

energy above the lowest structure with this stoichiometry = 1 meV per atom
magnetic moment = 0.0 μB per cell
symmetry = P3m1, No. 156
corrected total energy (MP2020 scheme) = -78.9 eV per cell

---

Computed, not measured: a relaxed LiPr2IrO6 crystal at the PBE-GGA level of DFT.

Cell: 5.4886 5.8368 9.5279 Å, 90.00 124.65 90.00°
Atoms (fractional coordinates):
1 Li 0.0000 0.0000 0.0000
2 Li 0.0000 0.5000 0.5000
3 Pr 0.2315 0.0703 0.7482
4 Pr 0.2315 0.4297 0.2482
5 Pr 0.7685 0.5703 0.7518
6 Pr 0.7685 0.9297 0.2518
7 Ir 0.5000 0.0000 0.5000
8 Ir 0.5000 0.5000 0.0000
9 O 0.1564 0.1892 0.4534
10 O 0.1564 0.3108 0.9534
11 O 0.2671 0.7129 0.4494
12 O 0.2671 0.7871 0.9494
13 O 0.3477 0.0266 0.2543
14 O 0.3477 0.4734 0.7543
15 O 0.6523 0.5266 0.2457
16 O 0.6523 0.9734 0.7457
17 O 0.7329 0.2129 0.0506
18 O 0.7329 0.2871 0.5506
19 O 0.8436 0.6892 0.0466
20 O 0.8436 0.8108 0.5466

magnetic moment = 4.0 μB per cell
symmetry = P2_1/c, No. 14
corrected total energy (MP2020 scheme) = -154.0 eV per cell

---

Computed, not measured: a relaxed Na9Mg4Ta2P9O36 crystal at the PBE-GGA level of DFT.

Cell: 8.9644 22.0553 23.6362 Å, 90.00 100.93 90.00°
Atoms (fractional coordinates):
1 Na 0.0000 0.0000 0.0000
2 Na 0.0004 0.0995 0.6636
3 Na 0.0903 0.3369 0.2253
4 Na 0.0939 0.7655 0.8801
5 Na 0.0993 0.8298 0.2286
6 Na 0.1250 0.4241 0.9011
7 Na 0.1269 0.5907 0.5530
8 Na 0.1610 0.4249 0.1092
9 Na 0.1908 0.2514 0.7879
10 Na 0.1967 0.1637 0.4364
11 Na 0.2025 0.6676 0.4377
12 Na 0.2220 0.7546 0.1182
13 Na 0.2944 0.0125 0.6609
14 Na 0.3031 0.9260 0.9886
15 Na 0.3263 0.5163 0.6698
16 Na 0.3337 0.4292 0.3181
17 Na 0.3635 0.2558 0.9969
18 Na 0.3954 0.0891 0.5520
19 Na 0.3996 0.2563 0.2051
20 Na 0.4249 0.8504 0.8785
21 Na 0.4305 0.9146 0.2266
22 Na 0.4340 0.3436 0.8809
23 Na 0.4413 0.7431 0.5451
24 Na 0.5214 0.5810 0.4405
25 Na 0.5253 0.6805 0.1068
26 Na 0.5317 0.1658 0.1137
27 Na 0.5330 0.0957 0.7653
28 Na 0.5428 0.2484 0.4549
29 Na 0.5796 0.9272 0.4413
30 Na 0.6380 0.6007 0.6648
31 Na 0.6397 0.5028 0.3265
32 Na 0.6396 0.9289 0.6485
33 Na 0.6419 0.7719 0.0020
34 Na 0.6591 0.0763 0.0078
35 Na 0.6647 0.4248 0.9843
36 Na 0.6692 0.9996 0.3259
37 Na 0.6949 0.2531 0.6641
38 Na 0.7349 0.2637 0.8749
39 Na 0.7483 0.9178 0.8995
40 Na 0.7623 0.3401 0.5526
41 Na 0.7762 0.7631 0.2070
42 Na 0.7800 0.8390 0.5467
43 Na 0.7896 0.4172 0.2311
44 Na 0.8289 0.4272 0.4413
45 Na 0.8570 0.6804 0.7809
46 Na 0.8596 0.2557 0.1218
47 Na 0.8656 0.6045 0.0987
48 Na 0.8828 0.9085 0.1044
49 Na 0.8845 0.1784 0.7791
50 Na 0.8864 0.0801 0.4411
51 Na 0.9424 0.7517 0.6654
52 Na 0.9808 0.4317 0.6506
53 Na 0.9899 0.5846 0.3396
54 Na 0.9931 0.5147 0.9927
55 Mg 0.0923 0.1932 0.2216
56 Mg 0.1015 0.4909 0.2211
57 Mg 0.1022 0.6892 0.2190
58 Mg 0.2049 0.0253 0.4426
59 Mg 0.2100 0.5251 0.4444
60 Mg 0.3146 0.1558 0.6614
61 Mg 0.3179 0.6542 0.6644
62 Mg 0.4218 0.9914 0.8873
63 Mg 0.4230 0.1898 0.8850
64 Mg 0.4321 0.4873 0.8844
65 Mg 0.5348 0.0253 0.1095
66 Mg 0.5404 0.3184 0.1085
67 Mg 0.5431 0.8250 0.1100
68 Mg 0.6525 0.3590 0.3295
69 Mg 0.6560 0.8599 0.3307
70 Mg 0.7443 0.4890 0.5513
71 Mg 0.7586 0.6917 0.5520
72 Mg 0.7810 0.1914 0.5536
73 Mg 0.7817 0.9888 0.5515
74 Mg 0.8695 0.8204 0.7765
75 Mg 0.8717 0.3218 0.7763
76 Mg 0.9815 0.8556 0.9964
77 Mg 0.9840 0.3621 0.9975
78 Mg 0.9894 0.6553 0.9966
79 Ta 0.0914 0.9906 0.2207
80 Ta 0.1956 0.8216 0.4366
81 Ta 0.2047 0.3199 0.4405
82 Ta 0.3194 0.3606 0.6653
83 Ta 0.3197 0.8595 0.6678
84 Ta 0.4330 0.6898 0.8854
85 Ta 0.5315 0.5264 0.1069
86 Ta 0.6435 0.6570 0.3312
87 Ta 0.6509 0.1530 0.3291
88 Ta 0.8736 0.5274 0.7769
89 Ta 0.8828 0.0246 0.7760
90 Ta 0.9929 0.1542 0.9993
91 P 0.0090 0.4270 0.3440
92 P 0.0219 0.2560 0.6645
93 P 0.0652 0.0908 0.5529
94 P 0.0740 0.9178 0.8743
95 P 0.0863 0.2613 0.9006
96 P 0.1089 0.4247 0.5398
97 P 0.1207 0.7559 0.5663
98 P 0.1379 0.5854 0.8870
99 P 0.1652 0.4189 0.7762
100 P 0.1784 0.2627 0.0968
101 P 0.1900 0.5898 0.1199
102 P 0.2185 0.7537 0.7620
103 P 0.2333 0.0926 0.7873
104 P 0.2454 0.9218 0.1093
105 P 0.2790 0.7587 0.9966
106 P 0.2921 0.5881 0.3186
107 P 0.3053 0.9271 0.3440
108 P 0.3344 0.0908 0.9862
109 P 0.3461 0.4180 0.0092
110 P 0.3594 0.2617 0.3297
111 P 0.3865 0.0951 0.2188
112 P 0.4014 0.9229 0.5390
113 P 0.4163 0.2561 0.5661
114 P 0.4379 0.4193 0.2054
115 P 0.4506 0.7627 0.2322
116 P 0.4603 0.5927 0.5531
117 P 0.5020 0.4247 0.4417
118 P 0.5154 0.2535 0.7618
119 P 0.5277 0.5857 0.7876
120 P 0.5507 0.7625 0.4299
121 P 0.5661 0.0920 0.4563
122 P 0.5819 0.9242 0.7753
123 P 0.6158 0.7550 0.6660
124 P 0.6276 0.5848 0.9843
125 P 0.6371 0.9251 0.0086
126 P 0.6649 0.0886 0.6505
127 P 0.6749 0.4222 0.6778
128 P 0.6918 0.2582 0.9962
129 P 0.7237 0.0910 0.8861
130 P 0.7366 0.9240 0.2070
131 P 0.7497 0.2607 0.2321
132 P 0.7746 0.4199 0.8739
133 P 0.7877 0.7565 0.8990
134 P 0.7995 0.5895 0.2203
135 P 0.8325 0.4224 0.1097
136 P 0.8488 0.2587 0.4280
137 P 0.8592 0.5886 0.4555
138 P 0.8872 0.7554 0.0973
139 P 0.8968 0.0956 0.1217
140 P 0.9077 0.9279 0.4408
141 P 0.9411 0.7562 0.3302
142 P 0.9576 0.5887 0.6496
143 P 0.9734 0.9189 0.6768
144 P 0.9969 0.0950 0.3183
145 O 0.9998 0.9850 0.4382
146 O 0.0118 0.5821 0.8287
147 O 0.0151 0.7480 0.2780
148 O 0.0175 0.0376 0.2798
149 O 0.0201 0.8595 0.8427
150 O 0.0204 0.9242 0.9323
151 O 0.0232 0.5865 0.4441
152 O 0.0253 0.8718 0.4397
153 O 0.0283 0.2621 0.4337
154 O 0.0380 0.1513 0.2892
155 O 0.0422 0.2058 0.9383
156 O 0.0473 0.4734 0.7666
157 O 0.0517 0.0820 0.7806
158 O 0.0551 0.7596 0.7715
159 O 0.0566 0.5962 0.9364
160 O 0.0587 0.4226 0.2855
161 O 0.0644 0.4833 0.3791
162 O 0.0694 0.3194 0.9337
163 O 0.0701 0.7602 0.3866
164 O 0.0788 0.0863 0.3800
165 O 0.0789 0.3603 0.7805
166 O 0.0890 0.3698 0.3804
167 O 0.0936 0.5915 0.0588
168 O 0.1031 0.2059 0.0584
169 O 0.1038 0.3196 0.0679
170 O 0.1132 0.9158 0.0572
171 O 0.1224 0.1997 0.6697
172 O 0.1310 0.5938 0.6579
173 O 0.1318 0.3138 0.6639
174 O 0.1379 0.0866 0.4984
175 O 0.1406 0.2571 0.1573
176 O 0.1430 0.3701 0.5004
177 O 0.1440 0.5338 0.1512
178 O 0.1475 0.9182 0.6727
179 O 0.1535 0.4839 0.5153
180 O 0.1601 0.0998 0.9933
181 O 0.1611 0.7700 0.5055
182 O 0.1673 0.9340 0.1651
183 O 0.1748 0.4242 0.0083
184 O 0.1811 0.7049 0.0047
185 O 0.1862 0.6490 0.1531
186 O 0.1867 0.8175 0.9806
187 O 0.1936 0.8091 0.6092
188 O 0.1955 0.0949 0.6068
189 O 0.1987 0.9310 0.2827
190 O 0.2024 0.6394 0.2861
191 O 0.2050 0.6980 0.5878
192 O 0.2081 0.4149 0.6020
193 O 0.2300 0.5277 0.8911
194 O 0.2327 0.4193 0.7183
195 O 0.2340 0.2533 0.2775
196 O 0.2345 0.7018 0.7223
197 O 0.2415 0.6420 0.8775
198 O 0.2446 0.9273 0.8807
199 O 0.2527 0.2542 0.8939
200 O 0.2541 0.8665 0.3728
201 O 0.2582 0.0926 0.7244
202 O 0.2609 0.5266 0.2887
203 O 0.2644 0.5875 0.3813
204 O 0.2652 0.1540 0.8171
205 O 0.2700 0.8143 0.7334
206 O 0.2714 0.4263 0.2120
207 O 0.2798 0.7533 0.2254
208 O 0.2826 0.0386 0.2284
209 O 0.2872 0.9791 0.3834
210 O 0.2903 0.4273 0.8284
211 O 0.2915 0.2613 0.3875
212 O 0.2943 0.1531 0.2146
213 O 0.3168 0.2657 0.5040
214 O 0.3221 0.0411 0.8199
215 O 0.3250 0.7494 0.8232
216 O 0.3303 0.9823 0.5159
217 O 0.3313 0.5892 0.4987
218 O 0.3317 0.8688 0.4981
219 O 0.3377 0.0315 0.9529
220 O 0.3378 0.8631 0.1252
221 O 0.3429 0.9756 0.1006
222 O 0.3496 0.2563 0.0975
223 O 0.3575 0.7466 0.9408
224 O 0.3642 0.5808 0.1126
225 O 0.3651 0.9114 0.6017
226 O 0.3731 0.1970 0.5911
227 O 0.3753 0.7612 0.4351
228 O 0.3804 0.1466 0.9546
229 O 0.3816 0.3107 0.6054
230 O 0.3838 0.4235 0.9486
231 O 0.3866 0.5933 0.6075
232 O 0.3918 0.3668 0.4420
233 O 0.3929 0.0871 0.4479
234 O 0.4022 0.4811 0.4370
235 O 0.4109 0.7646 0.0488
236 O 0.4207 0.3609 0.0379
237 O 0.4212 0.4746 0.0475
238 O 0.4307 0.0891 0.0471
239 O 0.4351 0.3105 0.7253
240 O 0.4453 0.3203 0.3254
241 O 0.4461 0.5945 0.7258
242 O 0.4549 0.3611 0.1722
243 O 0.4558 0.9213 0.7177
244 O 0.4610 0.1969 0.7267
245 O 0.4658 0.2578 0.8202
246 O 0.4676 0.0844 0.1696
247 O 0.4685 0.9214 0.3344
248 O 0.4733 0.5991 0.3265
249 O 0.4770 0.2072 0.3394
250 O 0.4820 0.4746 0.1676
251 O 0.4861 0.5294 0.8165
252 O 0.4956 0.4186 0.6725
253 O 0.5006 0.0922 0.6612
254 O 0.5018 0.8123 0.6664
255 O 0.5043 0.7562 0.1741
256 O 0.5047 0.8211 0.2637
257 O 0.5068 0.6431 0.8260
258 O 0.5094 0.9327 0.8277
259 O 0.5124 0.0986 0.2771
260 O 0.5195 0.6984 0.6665
261 O 0.5347 0.9261 0.9473
262 O 0.5404 0.6410 0.9498
263 O 0.5400 0.7090 0.2722
264 O 0.5478 0.4247 0.2638
265 O 0.5505 0.6515 0.5469
266 O 0.5664 0.2513 0.9419
267 O 0.5692 0.5387 0.5580
268 O 0.5712 0.4211 0.3864
269 O 0.5714 0.5272 0.9531
270 O 0.5742 0.7045 0.3920
271 O 0.5744 0.9192 0.5450
272 O 0.5807 0.5866 0.0464
273 O 0.5837 0.2608 0.5609
274 O 0.5868 0.8197 0.4001
275 O 0.5896 0.8685 0.0400
276 O 0.6069 0.7456 0.8928
277 O 0.6103 0.4258 0.8820
278 O 0.6135 0.1015 0.3943
279 O 0.6182 0.1488 0.4927
280 O 0.6196 0.9828 0.0433
281 O 0.6263 0.2563 0.0519
282 O 0.6267 0.1479 0.8706
283 O 0.6274 0.4203 0.4954
284 O 0.6357 0.0350 0.8984
285 O 0.6380 0.2540 0.1738
286 O 0.6434 0.7547 0.4904
287 O 0.6535 0.0342 0.4799
288 O 0.6540 0.9767 0.1743
289 O 0.6680 0.5801 0.1664
290 O 0.6779 0.7617 0.6096
291 O 0.6789 0.9823 0.7650
292 O 0.6812 0.0319 0.6147
293 O 0.6839 0.8696 0.7799
294 O 0.6887 0.2589 0.7673
295 O 0.7011 0.9203 0.2676
296 O 0.7019 0.2056 0.2704
297 O 0.7057 0.5856 0.7847
298 O 0.7105 0.8641 0.1728
299 O 0.7142 0.4291 0.6180
300 O 0.7167 0.7596 0.1035
301 O 0.7186 0.6005 0.2737
302 O 0.7221 0.4800 0.1052
303 O 0.7235 0.1471 0.6266
304 O 0.7259 0.0870 0.1111
305 O 0.7267 0.3191 0.2636
306 O 0.7272 0.4805 0.7155
307 O 0.7401 0.3653 0.1165
308 O 0.7451 0.7589 0.7183
309 O 0.7512 0.3657 0.7071
310 O 0.7507 0.5991 0.3932
311 O 0.7733 0.0817 0.7135
312 O 0.7735 0.3152 0.3985
313 O 0.7795 0.9217 0.3880
314 O 0.7842 0.3152 0.9891
315 O 0.7968 0.2003 0.3904
316 O 0.7974 0.3615 0.8421
317 O 0.7986 0.5936 0.9949
318 O 0.8023 0.2005 0.0006
319 O 0.8016 0.5282 0.4761
320 O 0.8046 0.0796 0.8326
321 O 0.8074 0.9209 0.0026
322 O 0.8082 0.2525 0.4876
323 O 0.8142 0.8166 0.9328
324 O 0.8188 0.0950 0.3212
325 O 0.8223 0.4749 0.8355
326 O 0.8231 0.7600 0.8383
327 O 0.8358 0.4217 0.3384
328 O 0.8379 0.8105 0.3245
329 O 0.8419 0.9215 0.4960
330 O 0.8435 0.6412 0.4954
331 O 0.8473 0.6972 0.3395
332 O 0.8556 0.1002 0.9398
333 O 0.8704 0.6465 0.6267
334 O 0.8704 0.7038 0.9316
335 O 0.8735 0.9264 0.6176
336 O 0.8864 0.4265 0.9321
337 O 0.8879 0.6452 0.2076
338 O 0.8957 0.2599 0.6111
339 O 0.8970 0.5324 0.2355
340 O 0.8982 0.4242 0.0539
341 O 0.9039 0.6978 0.0625
342 O 0.9064 0.5319 0.6131
343 O 0.9109 0.5790 0.7117
344 O 0.9140 0.2548 0.2240
345 O 0.9173 0.9350 0.2130
346 O 0.9308 0.8627 0.7069
347 O 0.9339 0.8120 0.0659
348 O 0.9415 0.4200 0.5452
349 O 0.9434 0.0940 0.0594
350 O 0.9509 0.7568 0.5649
351 O 0.9533 0.1534 0.1527
352 O 0.9526 0.2596 0.7198
353 O 0.9530 0.9775 0.7146
354 O 0.9580 0.4293 0.1639
355 O 0.9635 0.1472 0.5460
356 O 0.9717 0.0346 0.5629
357 O 0.9764 0.2560 0.8421
358 O 0.9840 0.0394 0.1559
359 O 0.9841 0.9717 0.8345
360 O 0.9899 0.7544 0.1585

energy above the lowest structure with this stoichiometry = 0 meV per atom
magnetic moment = 0.0 μB per cell
symmetry = P1, No. 1
corrected total energy (MP2020 scheme) = -2637.9 eV per cell

---

no.,calculated total energy (eV per formula unit)
1,-20.757
2,-33.965
3,-44.928
4,-77.044
5,-72.898
6,-414.924